Arrangement i

Material: LiNb2P2O10
Method: DFT, PBE
State: relaxed

Unit cell a=6.512 b=6.512 c=5.020 alpha=90.00 beta=90.00 gamma=90.00
Space group P-4m2 (No. 115)
Symmetry-distinct sites (fractional):
Li  0.000  0.000  0.000
Nb  0.000  0.500  0.232
P  0.000  0.000  0.500
P  0.500  0.500  0.500
O  0.000  0.184  0.308
O  0.000  0.500  0.883
O  0.305  0.500  0.324



Arrangement ii

Material: LiNb2P2O10
Method: DFT, PBE
State: relaxed

Unit cell a=9.554 b=9.249 c=4.148 alpha=90.00 beta=92.14 gamma=90.00
Space group C2/m (No. 12)
Symmetry-distinct sites (fractional):
Li  0.000  0.000  0.000
Nb  0.238  0.500  0.243
P  0.000  0.247  0.500
O  0.093  0.148  0.718
O  0.094  0.343  0.295
O  0.247  0.000  0.194



Most stable = arrangement ii



Arrangement i

Material: LiNbSn3P6O24
Method: DFT, PBE
State: relaxed

Unit cell a=8.7724 b=8.7724 c=22.3188 alpha=90.00 beta=90.00 gamma=120.00
Space group R3 (No. 146, hexagonal axes)
Symmetry-distinct sites (fractional):
Li  0.0000  0.0000  0.0000
Nb  0.0000  0.0000  0.8490
Sn  0.0000  0.0000  0.1395
Sn  0.0000  0.0000  0.3518
Sn  0.0000  0.0000  0.6364
P  0.0004  0.7112  0.2445
P  0.0040  0.2936  0.7415
O  0.0203  0.8150  0.1869
O  0.0218  0.8330  0.9050
O  0.0297  0.2100  0.6852
O  0.0309  0.1986  0.4075
O  0.1495  0.4766  0.4650
O  0.1581  0.7020  0.9674
O  0.1617  0.6901  0.2486
O  0.1697  0.4800  0.7443



Arrangement ii

Material: LiNbSn3P6O24
Method: DFT, PBE
State: relaxed

Unit cell a=8.823 b=8.834 c=8.860 alpha=89.98 beta=60.24 gamma=60.16
Space group P1 (No. 1)
Symmetry-distinct sites (fractional):
Li  0.000  0.000  0.000
Nb  0.800  0.417  0.161
Sn  0.365  0.127  0.321
Sn  0.379  0.616  0.812
Sn  0.804  0.908  0.653
P  0.290  0.809  0.495
P  0.302  0.018  0.983
P  0.587  0.226  0.485
P  0.588  0.302  0.984
P  0.865  0.740  0.995
P  0.874  0.518  0.493
O  0.046  0.746  0.977
O  0.071  0.364  0.480
O  0.093  0.176  0.003
O  0.123  0.795  0.497
O  0.254  0.995  0.484
O  0.279  0.854  0.983
O  0.292  0.068  0.153
O  0.292  0.786  0.667
O  0.412  0.478  0.988
O  0.432  0.191  0.489
O  0.449  0.396  0.655
O  0.481  0.258  0.158
O  0.491  0.989  0.803
O  0.510  0.644  0.321
O  0.662  0.884  0.181
O  0.679  0.549  0.671
O  0.707  0.265  0.306
O  0.735  0.345  0.997
O  0.737  0.136  0.808
O  0.766  0.054  0.482
O  0.848  0.769  0.832
O  0.871  0.692  0.485
O  0.874  0.462  0.324
O  0.907  0.547  0.004



Most stable = arrangement i